Record 1
Entry from Materials Project: a relaxed Li2Cr2O9 crystal (PBE with a Hubbard U).

The space group is C2/c (No. 15) and the conventional cell measures 14.806, 8.486 and 6.612 Å, with angles of 90.00, 97.97 and 90.00 degrees. Symmetry generates all atoms from Li at (0.131, 0.058, 0.295), Cr at (0.101, 0.292, 0.864), O at (0.000, 0.391, 0.750), O at (0.084, 0.156, 0.033), O at (0.128, 0.167, 0.664), O at (0.154, 0.226, 0.491) and O at (0.182, 0.416, 0.930).

Record 2
Entry from Materials Project: a relaxed Li2Cr2O7 crystal (PBE with a Hubbard U).

The space group is Cmce (No. 64) and the conventional cell measures 6.673, 11.020 and 13.921 Å, with angles of 90.00, 90.00 and 90.00 degrees. Symmetry generates all atoms from Li at (0.000, 0.191, 0.142), Li at (0.245, 0.000, 0.000), Cr at (0.000, 0.248, 0.421), Cr at (0.250, 0.077, 0.750), O at (0.000, 0.116, 0.475), O at (0.000, 0.125, 0.717), O at (0.000, 0.138, 0.001), O at (0.196, 0.013, 0.161) and O at (0.203, 0.239, 0.851).

Record 3
Entry from Materials Project: a relaxed Li6Cr2O7 crystal (PBE with a Hubbard U).

The space group is C2/c (No. 15) and the conventional cell measures 9.988, 5.703 and 9.635 Å, with angles of 90.00, 100.82 and 90.00 degrees. Symmetry generates all atoms from Li at (0.067, 0.145, 0.100), Li at (0.071, 0.401, 0.615), Li at (0.205, 0.127, 0.884), Cr at (0.184, 0.377, 0.369), O at (0.000, 0.348, 0.250), O at (0.123, 0.387, 0.971), O at (0.137, 0.135, 0.502) and O at (0.246, 0.119, 0.251).

no.,E_form (eV/f.u.),energy above the lowest structure with this stoichiometry (eV per atom),uncorrected energy (eV per atom)
1,-13.9,0.1263,-5.853
2,-20.1,0.0553,-6.274
3,-31.5,0.0660,-5.874